Material: K2HfF6
Method: DFT, PBE
State: relaxed

a b c (Å): 6.520 6.520 3.500
angles (deg): 90.00 90.00 120.00
Element x y z (fractional)
Hf1 0.000 0.000 0.000
F1 0.216 0.000 0.500
F2 0.000 0.216 0.500
F3 0.318 0.318 0.000
F4 0.682 0.000 0.000
F5 0.000 0.682 0.000
F6 0.784 0.784 0.500
K1 0.333 0.667 0.500
K2 0.667 0.333 0.500

M_tot = 0.0 μB per formula unit
energy relative to the elements = -3.671 eV per atom
SG = P-62m, No. 189
maximum piezoelectric response = 0.345 C/m²
uncorrected energy = -5.9925 eV per atom

Material: Mg14CdSn
Method: DFT, PBE
State: relaxed

a b c (Å): 6.332 6.377 10.485
angles (deg): 90.00 90.00 120.24
Element x y z (fractional)
Mg1 0.666 0.333 0.625
Mg2 0.834 0.667 0.874
Mg3 0.167 0.333 0.625
Mg4 0.167 0.834 0.625
Mg5 0.833 0.167 0.377
Mg6 0.333 0.667 0.376
Mg7 0.834 0.667 0.376
Mg8 0.667 0.334 0.125
Mg9 0.333 0.166 0.376
Mg10 0.666 0.834 0.625
Mg11 0.667 0.833 0.125
Mg12 0.833 0.167 0.873
Mg13 0.333 0.166 0.874
Mg14 0.333 0.667 0.874
Sn1 0.166 0.333 0.125
Cd1 0.166 0.833 0.125

M_tot = 0.0 μB per formula unit
energy relative to the elements = -0.036 eV per atom
energy above the lowest structure with this stoichiometry = 17.4 kJ/mol of formula units
SG = Amm2, No. 38
uncorrected energy = -1.7442 eV per atom

Material: Ti10O13
Method: DFT, PBE
State: relaxed

a b c (Å): 5.101 5.101 12.138
angles (deg): 86.15 86.15 48.30
Element x y z (fractional)
Ti1 0.451 0.451 0.375
Ti2 0.385 0.385 0.154
Ti3 0.306 0.306 0.928
Ti4 0.615 0.615 0.846
Ti5 0.931 0.931 0.768
Ti6 0.694 0.694 0.072
Ti7 0.549 0.549 0.625
Ti8 0.167 0.167 0.460
Ti9 0.069 0.069 0.232
Ti10 0.833 0.833 0.540
O1 0.642 0.642 0.460
O2 0.038 0.038 0.611
O3 0.264 0.264 0.304
O4 0.418 0.418 0.773
O5 0.118 0.118 0.848
O6 0.358 0.358 0.540
O7 0.582 0.582 0.227
O8 0.882 0.882 0.152
O9 0.813 0.813 0.921
O10 0.500 0.500 0.000
O11 0.187 0.187 0.079
O12 0.736 0.736 0.696
O13 0.962 0.962 0.389

energy relative to the elements = -3.138 eV per atom
SG = C2/m, No. 12
uncorrected energy = -8.9788 eV per atom

Material: SrCaSi4
Method: DFT, PBE
State: relaxed

a b c (Å): 3.935 3.935 10.129
angles (deg): 90.00 90.00 120.00
Element x y z (fractional)
Si1 0.333 0.667 0.286
Si2 0.667 0.333 0.714
Si3 0.333 0.667 0.798
Si4 0.667 0.333 0.202
Sr1 0.000 0.000 0.500
Ca1 0.000 0.000 0.000

energy relative to the elements = -0.313 eV per atom
SG = P-3m1, No. 164
uncorrected energy = -4.5927 eV per atom

Material: La2FeSn4
Method: DFT, PBE
State: relaxed

a b c (Å): 8.951 8.951 4.668
angles (deg): 90.00 90.00 149.61
Element x y z (fractional)
Fe1 0.198 0.802 0.500
La1 0.396 0.604 0.500
La2 0.603 0.397 0.000
Sn1 0.051 0.949 0.500
Sn2 0.756 0.244 0.500
Sn3 0.940 0.060 0.000
Sn4 0.253 0.747 0.000

M_tot = 2.0 μB per formula unit
energy relative to the elements = -0.534 eV per atom
SG = Amm2, No. 38
uncorrected energy = -5.4454 eV per atom

Material: Na4La2Ti2Si3S3O24
Method: DFT, PBE
State: relaxed

a b c (Å): 9.324 9.377 23.288
angles (deg): 90.53 89.65 119.67
Element x y z (fractional)
O1 0.002 0.225 0.302
O2 0.353 0.477 0.362
O3 0.210 0.216 0.816
O4 0.529 0.816 0.755
O5 0.036 0.807 0.700
O6 0.815 0.805 0.920
O7 0.606 0.129 0.418
O8 0.845 0.035 0.080
O9 0.149 0.464 0.584
O10 0.336 0.898 0.969
O11 0.887 0.348 0.243
O12 0.957 0.819 0.092
O13 0.513 0.152 0.918
O14 0.667 0.562 0.633
O15 0.886 0.536 0.745
O16 0.119 0.453 0.967
O17 0.503 0.697 0.261
O18 0.481 0.345 0.754
O19 0.505 0.363 0.411
O20 0.668 0.110 0.134
O21 0.665 0.522 0.244
O22 0.083 0.461 0.864
O23 0.846 0.354 0.928
O24 0.500 0.869 0.367
O25 0.849 0.801 0.577
O26 0.143 0.674 0.082
O27 0.182 0.475 0.250
O28 0.555 0.679 0.571
O29 0.503 0.636 0.864
O30 0.477 0.178 0.524
O31 0.008 0.772 0.804
O32 0.202 0.168 0.079
O33 0.890 0.343 0.651
O34 0.811 0.789 0.302
O35 0.480 0.121 0.636
O36 0.166 0.205 0.700
O37 0.955 0.140 0.590
O38 0.550 0.872 0.075
O39 0.208 0.208 0.411
O40 0.347 0.468 0.073
O41 0.460 0.310 0.025
O42 0.827 0.308 0.536
O43 0.872 0.541 0.145
O44 0.815 0.977 0.689
O45 0.345 0.452 0.467
O46 0.692 0.534 0.530
O47 0.143 0.952 0.201
O48 0.469 0.117 0.242
O49 0.996 0.202 0.916
O50 0.184 0.694 0.751
O51 0.634 0.477 0.927
O52 0.031 0.215 0.198
O53 0.792 0.825 0.192
O54 0.148 0.691 0.466
O55 0.690 0.145 0.030
O56 0.219 0.007 0.314
O57 0.826 0.528 0.031
O58 0.680 0.150 0.745
O59 0.811 0.017 0.804
O60 0.132 0.629 0.356
O61 0.217 0.020 0.913
O62 0.364 0.892 0.865
O63 0.536 0.657 0.979
O64 0.461 0.341 0.129
O65 0.841 0.471 0.428
O66 0.298 0.489 0.761
O67 0.781 0.008 0.409
O68 0.183 0.040 0.593
O69 0.548 0.883 0.471
O70 0.998 0.805 0.410
O71 0.351 0.870 0.573
O72 0.277 0.794 0.257
S1 0.359 0.987 0.914
S2 0.028 0.706 0.748
S3 0.364 0.319 0.077
S4 0.693 0.645 0.578
S5 0.608 0.970 0.416
S6 0.691 0.045 0.079
S7 0.023 0.310 0.248
S8 0.355 0.378 0.411
S9 0.015 0.368 0.917
Ti1 0.385 0.674 0.805
Ti2 0.026 0.049 0.647
Ti3 0.686 0.338 0.491
Ti4 0.984 0.957 0.157
Ti5 0.685 0.369 0.981
Ti6 0.316 0.668 0.311
Na1 0.652 0.974 0.592
Na2 0.990 0.353 0.745
Na3 0.009 0.984 0.509
Na4 0.302 0.670 0.663
Na5 0.324 0.667 0.175
Na6 0.974 0.640 0.252
Na7 0.646 0.302 0.825
Na8 0.316 0.017 0.417
Na9 0.987 0.989 0.002
Na10 0.336 0.307 0.906
Na11 0.663 0.696 0.077
Na12 0.655 0.342 0.340
Si1 0.294 0.305 0.757
Si2 0.680 0.700 0.252
Si3 0.629 0.658 0.921
Si4 0.713 0.997 0.745
Si5 0.961 0.323 0.591
Si6 0.366 0.050 0.580
Si7 0.958 0.638 0.088
Si8 0.019 0.644 0.415
Si9 0.284 0.978 0.255
La1 0.653 0.336 0.684
La2 0.323 0.678 0.016
La3 0.987 0.979 0.849
La4 0.653 0.318 0.187
La5 0.989 0.996 0.352
La6 0.312 0.650 0.518

M_tot = 0.0 μB per formula unit
energy relative to the elements = -2.742 eV per atom
SG = P1, No. 1
uncorrected energy = -7.0023 eV per atom

Material: Na4HfZnSi2SO12
Method: DFT, PBE
State: relaxed

a b c (Å): 9.203 9.226 22.399
angles (deg): 89.21 90.00 119.92
Element x y z (fractional)
O1 0.021 0.197 0.193
O2 0.488 0.166 0.245
O3 0.786 0.813 0.197
O4 0.027 0.813 0.697
O5 0.189 0.206 0.415
O6 0.482 0.363 0.145
O7 0.793 0.969 0.694
O8 0.319 0.452 0.473
O9 0.842 0.530 0.026
O10 0.493 0.358 0.421
O11 0.460 0.303 0.028
O12 0.865 0.358 0.921
O13 0.629 0.145 0.421
O14 0.484 0.324 0.747
O15 0.647 0.496 0.920
O16 0.173 0.991 0.914
O17 0.850 0.496 0.420
O18 0.818 0.991 0.414
O19 0.176 0.969 0.194
O20 0.211 0.181 0.812
O21 0.151 0.658 0.081
O22 0.155 0.499 0.579
O23 0.683 0.539 0.248
O24 0.985 0.786 0.806
O25 0.881 0.363 0.645
O26 0.980 0.163 0.587
O27 0.877 0.515 0.145
O28 0.840 0.324 0.247
O29 0.016 0.206 0.915
O30 0.843 0.303 0.528
O31 0.350 0.872 0.581
O32 0.296 0.478 0.755
O33 0.856 0.539 0.748
O34 0.971 0.181 0.312
O35 0.507 0.658 0.581
O36 0.963 0.811 0.088
O37 0.849 0.811 0.588
O38 0.515 0.145 0.921
O39 0.304 0.848 0.978
O40 0.800 0.786 0.306
O41 0.199 0.025 0.588
O42 0.678 0.166 0.745
O43 0.360 0.480 0.364
O44 0.821 0.833 0.912
O45 0.467 0.119 0.639
O46 0.314 0.830 0.254
O47 0.127 0.636 0.361
O48 0.688 0.530 0.526
O49 0.523 0.872 0.081
O50 0.509 0.863 0.360
O51 0.544 0.848 0.478
O52 0.453 0.147 0.530
O53 0.516 0.830 0.754
O54 0.532 0.692 0.255
O55 0.355 0.863 0.860
O56 0.548 0.696 0.979
O57 0.815 0.029 0.812
O58 0.160 0.692 0.755
O59 0.148 0.696 0.479
O60 0.183 0.163 0.087
O61 0.011 0.833 0.412
O62 0.694 0.147 0.030
O63 0.652 0.119 0.139
O64 0.134 0.452 0.973
O65 0.637 0.515 0.645
O66 0.214 0.029 0.312
O67 0.509 0.636 0.861
O68 0.182 0.478 0.255
O69 0.120 0.480 0.864
O70 0.175 0.197 0.693
O71 0.345 0.499 0.079
O72 0.826 0.025 0.088
Na1 0.652 0.682 0.075
Na2 0.645 0.027 0.254
Na3 0.363 0.348 0.242
Na4 0.338 0.652 0.660
Na5 0.315 0.652 0.160
Na6 0.671 0.319 0.326
Na7 0.961 0.285 0.406
Na8 0.030 0.682 0.575
Na9 0.382 0.027 0.754
Na10 0.981 0.986 0.493
Na11 0.311 0.360 0.588
Na12 0.324 0.285 0.906
Na13 0.697 0.015 0.909
Na14 0.318 0.015 0.409
Na15 0.657 0.951 0.573
Na16 0.627 0.618 0.740
Na17 0.294 0.951 0.073
Na18 0.715 0.693 0.421
Na19 0.005 0.986 0.993
Na20 0.985 0.348 0.742
Na21 0.978 0.693 0.921
Na22 0.648 0.319 0.826
Na23 0.991 0.618 0.240
Na24 0.049 0.360 0.088
Si1 0.634 0.672 0.920
Si2 0.334 0.961 0.919
Si3 0.371 0.338 0.087
Si4 0.667 0.628 0.585
Si5 0.294 0.295 0.752
Si6 0.704 0.005 0.753
Si7 0.967 0.338 0.587
Si8 0.628 0.961 0.419
Si9 0.301 0.005 0.253
Si10 0.038 0.672 0.420
Si11 0.000 0.295 0.252
Si12 0.961 0.628 0.085
Zn1 0.335 0.670 0.015
Zn2 0.001 0.003 0.848
Zn3 0.002 0.003 0.348
Zn4 0.334 0.670 0.515
Zn5 0.669 0.336 0.682
Zn6 0.667 0.336 0.182
Hf1 0.018 0.007 0.148
Hf2 0.352 0.674 0.815
Hf3 0.685 0.340 0.481
Hf4 0.989 0.007 0.648
Hf5 0.322 0.674 0.315
Hf6 0.655 0.340 0.981
S1 0.004 0.708 0.752
S2 0.338 0.374 0.419
S3 0.037 0.374 0.919
S4 0.703 0.708 0.252
S5 0.671 0.041 0.085
S6 0.370 0.041 0.585

M_tot = 0.0 μB per formula unit
energy relative to the elements = -2.637 eV per atom
uncorrected energy = -6.5713 eV per atom

Material: LaCl3
Method: DFT, PBE
State: relaxed

a b c (Å): 7.603 7.603 4.375
angles (deg): 90.00 90.00 120.00
Element x y z (fractional)
La1 0.667 0.333 0.750
La2 0.333 0.667 0.250
Cl1 0.695 0.087 0.250
Cl2 0.608 0.695 0.750
Cl3 0.913 0.608 0.250
Cl4 0.392 0.305 0.250
Cl5 0.087 0.392 0.750
Cl6 0.305 0.913 0.750

energy relative to the elements = -2.867 eV per atom
SG = P6_3/m, No. 176
uncorrected energy = -5.0271 eV per atom